# Sr8RuRh3O16

A geometry-optimized Sr8RuRh3O16 structure (GGA-PBE, the Materials Project database).

Summary:
space group = I-4 (82)
ΔE_f = -2406 meV per atom

Unit cell a=13.5996 b=13.5996 c=13.5996 alpha=156.55 beta=156.55 gamma=33.40
Fractional coordinates of all 28 atoms:
Sr  0.0740  0.5740  0.5000
Sr  0.1750  0.1750  0.0000
Sr  0.3250  0.3250  0.0000
Sr  0.4260  0.9260  0.5000
Sr  0.5736  0.0736  0.5000
Sr  0.6750  0.6750  0.0000
Sr  0.8250  0.8250  0.0000
Sr  0.9264  0.4264  0.5000
Ru  0.7500  0.2500  0.5000
Rh  0.0000  0.0000  0.0000
Rh  0.2500  0.7500  0.5000
Rh  0.5000  0.5000  0.0000
O  0.0442  0.0519  0.5962
O  0.0806  0.0806  0.0000
O  0.1691  0.6691  0.5000
O  0.1986  0.6986  0.8972
O  0.3014  0.1986  0.5000
O  0.3309  0.8309  0.5000
O  0.4194  0.4194  0.0000
O  0.4558  0.4481  0.4038
O  0.5519  0.9558  0.0077
O  0.5806  0.5806  0.0000
O  0.6708  0.1708  0.5000
O  0.6986  0.8014  0.5000
O  0.8014  0.3014  0.1028
O  0.8292  0.3292  0.5000
O  0.9194  0.9194  0.0000
O  0.9481  0.5442  0.9923

# LaScGe

A geometry-optimized LaScGe structure (GGA-PBE, the Materials Project database).

Summary:
space group = I4/mmm (139)
ΔE_f = -718 meV per atom

Unit cell a=8.7353 b=8.7353 c=8.7353 alpha=150.99 beta=150.99 gamma=41.49
Fractional coordinates of all 6 atoms:
La  0.1761  0.1761  0.0000
La  0.8239  0.8239  0.0000
Sc  0.0000  0.5000  0.5000
Sc  0.5000  0.0000  0.5000
Ge  0.3806  0.3806  0.0000
Ge  0.6194  0.6194  0.0000

# PmRuO3

A geometry-optimized PmRuO3 structure (GGA-PBE, the Materials Project database).

Summary:
space group = Pm-3m (221)
ΔE_f = -2186 meV per atom

Unit cell a=3.9638 b=3.9638 c=3.9638 alpha=90.00 beta=90.00 gamma=90.00
Fractional coordinates of all 5 atoms:
Pm  0.0000  0.0000  0.0000
Ru  0.5000  0.5000  0.5000
O  0.0000  0.5000  0.5000
O  0.5000  0.0000  0.5000
O  0.5000  0.5000  0.0000

# PrP2Pt2

A geometry-optimized PrP2Pt2 structure (GGA-PBE, the Materials Project database).

Summary:
space group = I4/mmm (139)
ΔE_f = -972 meV per atom

Unit cell a=10.1565 b=10.1565 c=10.1565 alpha=155.49 beta=155.49 gamma=34.93
Fractional coordinates of all 10 atoms:
Pr  0.1251  0.1251  0.0000
Pr  0.8749  0.8749  0.0000
P  0.2500  0.7500  0.5000
P  0.4305  0.4305  0.0000
P  0.5695  0.5695  0.0000
P  0.7500  0.2500  0.5000
Pt  0.0000  0.5000  0.5000
Pt  0.3068  0.3068  0.0000
Pt  0.5000  0.0000  0.5000
Pt  0.6932  0.6932  0.0000

# Ti12AlSi3C8

A geometry-optimized Ti12AlSi3C8 structure (GGA-PBE, the Materials Project database).

Summary:
space group = P-3m1 (164)
ΔE_f = -801 meV per atom

Unit cell a=6.1601 b=6.1601 c=17.9118 alpha=90.00 beta=90.00 gamma=120.00
Fractional coordinates of all 48 atoms:
Ti  0.0000  0.0000  0.0000
Ti  0.0000  0.0000  0.5000
Ti  0.0000  0.5000  0.0000
Ti  0.0000  0.5000  0.5000
Ti  0.1683  0.3365  0.1326
Ti  0.1683  0.3365  0.3675
Ti  0.1683  0.8317  0.1326
Ti  0.1683  0.8317  0.3675
Ti  0.3333  0.6667  0.6355
Ti  0.3333  0.6667  0.8644
Ti  0.3365  0.1683  0.6325
Ti  0.3365  0.1683  0.8674
Ti  0.5000  0.0000  0.0000
Ti  0.5000  0.0000  0.5000
Ti  0.5000  0.5000  0.0000
Ti  0.5000  0.5000  0.5000
Ti  0.6635  0.8317  0.1326
Ti  0.6635  0.8317  0.3675
Ti  0.6667  0.3333  0.1356
Ti  0.6667  0.3333  0.3645
Ti  0.8317  0.1683  0.6325
Ti  0.8317  0.1683  0.8674
Ti  0.8317  0.6635  0.6325
Ti  0.8317  0.6635  0.8674
Al  0.0000  0.0000  0.2501
Al  0.0000  0.0000  0.7499
Si  0.0102  0.5051  0.2501
Si  0.4949  0.5051  0.2501
Si  0.4949  0.9898  0.2501
Si  0.5051  0.0102  0.7499
Si  0.5051  0.4949  0.7499
Si  0.9898  0.4949  0.7499
C  0.1673  0.3347  0.5718
C  0.1674  0.3348  0.9281
C  0.1673  0.8327  0.5718
C  0.1674  0.8326  0.9281
C  0.3333  0.6667  0.0708
C  0.3333  0.6667  0.4292
C  0.3348  0.1674  0.0719
C  0.3347  0.1673  0.4282
C  0.6653  0.8327  0.5718
C  0.6652  0.8326  0.9281
C  0.6667  0.3333  0.5708
C  0.6667  0.3333  0.9292
C  0.8326  0.1674  0.0719
C  0.8327  0.1673  0.4282
C  0.8326  0.6652  0.0719
C  0.8327  0.6653  0.4282

# HoAl4Ni

A geometry-optimized HoAl4Ni structure (GGA-PBE, the Materials Project database).

Summary:
space group = Cmcm (63)
ΔE_f = -548 meV per atom

Unit cell a=7.9432 b=7.9432 c=6.6294 alpha=90.00 beta=90.00 gamma=150.48
Fractional coordinates of all 12 atoms:
Ho  0.1180  0.8820  0.7500
Ho  0.8820  0.1180  0.2500
Al  0.0760  0.9240  0.2500
Al  0.3118  0.6882  0.5530
Al  0.3118  0.6882  0.9470
Al  0.5000  0.5000  0.0000
Al  0.5000  0.5000  0.5000
Al  0.6882  0.3118  0.0530
Al  0.6882  0.3118  0.4470
Al  0.9240  0.0760  0.7500
Ni  0.2270  0.7730  0.2500
Ni  0.7730  0.2270  0.7500

# Sr2CaI6

A geometry-optimized Sr2CaI6 structure (GGA-PBE, the Materials Project database).

Summary:
space group = Cmce (64)
excess energy over the best structure of this formula in the dataset = 67 meV/atom
ΔE_f = -1851 meV per atom

Unit cell a=12.6960 b=12.6960 c=8.0330 alpha=90.00 beta=90.00 gamma=37.03
Fractional coordinates of all 18 atoms:
Sr  0.1668  0.1668  0.0000
Sr  0.3332  0.3332  0.5000
Sr  0.6668  0.6668  0.5000
Sr  0.8332  0.8332  0.0000
Ca  0.0000  0.0000  0.5000
Ca  0.5000  0.5000  0.0000
I  0.0187  0.4813  0.7500
I  0.1167  0.7118  0.7057
I  0.2118  0.6167  0.2057
I  0.2882  0.8833  0.7057
I  0.3833  0.7882  0.2057
I  0.4813  0.0187  0.2500
I  0.5187  0.9813  0.7500
I  0.6167  0.2118  0.7943
I  0.7118  0.1167  0.2943
I  0.7882  0.3833  0.7943
I  0.8833  0.2882  0.2943
I  0.9813  0.5187  0.2500

# Er2TiO5

A geometry-optimized Er2TiO5 structure (GGA-PBE, the Materials Project database).

Summary:
space group = C2/c (15)
excess energy over the best structure of this formula in the dataset = 88 meV/atom
ΔE_f = -3813 meV per atom

Unit cell a=6.3672 b=6.3672 c=7.5083 alpha=111.30 beta=111.30 gamma=48.74
Fractional coordinates of all 16 atoms:
Er  0.1294  0.1468  0.2501
Er  0.1468  0.1294  0.7501
Er  0.8532  0.8706  0.2499
Er  0.8706  0.8532  0.7499
Ti  0.5000  0.5000  0.0000
Ti  0.5000  0.5000  0.5000
O  0.1093  0.7479  0.0448
O  0.1870  0.4735  0.3599
O  0.2521  0.8907  0.4552
O  0.3315  0.6685  0.7500
O  0.4735  0.1870  0.8599
O  0.5265  0.8130  0.1401
O  0.6685  0.3315  0.2500
O  0.7479  0.1093  0.5448
O  0.8130  0.5265  0.6401
O  0.8907  0.2521  0.9552

# Nd3MnBi5

A geometry-optimized Nd3MnBi5 structure (GGA-PBE, the Materials Project database).

Summary:
space group = P6_3/mcm (193)
ΔE_f = -531 meV per atom

Unit cell a=9.6783 b=9.6783 c=6.5111 alpha=90.00 beta=90.00 gamma=120.00
Fractional coordinates of all 18 atoms:
Nd  0.0000  0.3793  0.2500
Nd  0.0000  0.6207  0.7500
Nd  0.3793  0.0000  0.2500
Nd  0.3793  0.3793  0.7500
Nd  0.6207  0.0000  0.7500
Nd  0.6207  0.6207  0.2500
Mn  0.0000  0.0000  0.0000
Mn  0.0000  0.0000  0.5000
Bi  0.0000  0.2547  0.7500
Bi  0.0000  0.7453  0.2500
Bi  0.2547  0.0000  0.7500
Bi  0.2547  0.2547  0.2500
Bi  0.3333  0.6667  0.0000
Bi  0.3333  0.6667  0.5000
Bi  0.6667  0.3333  0.0000
Bi  0.6667  0.3333  0.5000
Bi  0.7453  0.0000  0.2500
Bi  0.7453  0.7453  0.7500

# BeSiIr2

A geometry-optimized BeSiIr2 structure (GGA-PBE, the Materials Project database).

Summary:
space group = Fm-3m (225)
ΔE_f = -663 meV per atom

Unit cell a=4.0920 b=4.0920 c=4.0920 alpha=60.00 beta=60.00 gamma=60.00
Fractional coordinates of all 4 atoms:
Be  0.0000  0.0000  0.0000
Si  0.5000  0.5000  0.5000
Ir  0.2500  0.2500  0.2500
Ir  0.7500  0.7500  0.7500

# Th4FeSn8

A geometry-optimized Th4FeSn8 structure (GGA-PBE, the Materials Project database).

Summary:
space group = Pmm2 (25)
ΔE_f = -464 meV per atom

Unit cell a=4.4988 b=4.5244 c=17.1965 alpha=90.00 beta=90.00 gamma=90.00
Fractional coordinates of all 13 atoms:
Th  0.0000  0.0000  0.0000
Th  0.0000  0.5000  0.4965
Th  0.5000  0.0000  0.2039
Th  0.5000  0.5000  0.7079
Fe  0.0000  0.0000  0.7950
Sn  0.0000  0.0000  0.3498
Sn  0.0000  0.0000  0.6509
Sn  0.0000  0.5000  0.1632
Sn  0.0000  0.5000  0.8613
Sn  0.5000  0.0000  0.5379
Sn  0.5000  0.0000  0.8619
Sn  0.5000  0.5000  0.0393
Sn  0.5000  0.5000  0.3511

# Mg6NbAl

A geometry-optimized Mg6NbAl structure (GGA-PBE, the Materials Project database).

Summary:
excess energy over the best structure of this formula in the dataset = 6 meV/atom
ΔE_f = 111 meV per atom

Unit cell a=4.9908 b=5.9783 c=10.9592 alpha=90.00 beta=90.00 gamma=90.00
Fractional coordinates of all 16 atoms:
Mg  0.0000  0.5000  0.8289
Mg  0.0000  0.7431  0.0847
Mg  0.0000  0.7569  0.5847
Mg  0.5000  0.7512  0.9194
Mg  0.5000  0.7488  0.4194
Mg  0.5000  0.2488  0.9194
Mg  0.0000  0.5000  0.3251
Mg  0.0000  0.0000  0.3289
Al  0.5000  0.5000  0.6668
Mg  0.0000  0.2431  0.5847
Al  0.5000  0.0000  0.1668
Nb  0.5000  0.0000  0.6712
Mg  0.0000  0.2569  0.0847
Mg  0.5000  0.2512  0.4194
Nb  0.5000  0.5000  0.1712
Mg  0.0000  0.0000  0.8251